Here is crystalline Li3Fe3P4O16 at its relaxed geometry from the Materials Project. Energies are from PBE+U.

Values from the calculation:
Energy above the lowest structure with this stoichiometry, meV/atom: 42.1
DFT total energy, eV per atom: -6.81
Space-group type: P-1 (2)
Calculated formation energy, eV per atom: -2.42
Calculated density, Mg/m³: 3.175

Lattice parameters (Å, degrees): 8.582 8.979 9.447 103.10 105.00 114.11
Element x y z (fractional)
O (0.744, 0.337, 0.716)
O (0.592, 0.768, 0.321)
Li (0.811, 0.062, 0.154)
P (0.562, 0.233, 0.047)
O (0.147, 0.197, 0.406)
O (0.544, 0.921, 0.109)
O (0.075, 0.440, 0.405)
P (0.952, 0.708, 0.532)
P (0.978, 0.807, 0.082)
Li (0.189, 0.938, 0.846)
O (0.832, 0.835, 0.141)
P (0.566, 0.337, 0.627)
P (0.438, 0.767, 0.953)
Fe (0.292, 0.223, 0.262)
Li (0.782, 0.979, 0.539)
Li (0.579, 0.097, 0.302)
O (0.230, 0.717, 0.877)
O (0.857, 0.624, 0.342)
Fe (0.708, 0.777, 0.738)
O (0.413, 0.479, 0.332)
O (0.490, 0.226, 0.449)
O (0.155, 0.843, 0.577)
O (0.563, 0.403, 0.019)
O (0.456, 0.079, 0.891)
Li (0.218, 0.021, 0.461)
Fe (0.006, 0.482, 0.764)
O (0.437, 0.597, 0.981)
P (0.048, 0.292, 0.468)
Fe (0.343, 0.356, 0.825)
O (0.408, 0.232, 0.679)
O (0.168, 0.165, 0.859)
O (0.143, 0.376, 0.658)
O (0.770, 0.283, 0.123)
O (0.587, 0.521, 0.668)
O (0.053, 0.376, 0.923)
O (0.530, 0.794, 0.835)
Fe (0.657, 0.644, 0.175)
O (0.937, 0.812, 0.914)
O (0.827, 0.045, 0.798)
O (0.256, 0.663, 0.284)
P (0.022, 0.193, 0.918)
O (0.510, 0.774, 0.551)
O (0.925, 0.560, 0.595)
O (0.063, 0.188, 0.086)
O (0.470, 0.206, 0.165)
Li (0.421, 0.903, 0.698)
P (0.434, 0.663, 0.373)
O (0.845, 0.157, 0.423)
O (0.173, 0.955, 0.202)
Fe (0.994, 0.518, 0.236)
O (0.853, 0.803, 0.594)
O (0.947, 0.624, 0.077)